Ba6YI15: relaxed, PBE-GGA. Values from VASP.

Results
Its space-group type is P2_1/c. The calculation puts the total energy at -3.50 eV per atom. Its calculated formation energy is -1901 meV/atom.

Quantum ESPRESSO input file:
```
&SYSTEM
  ibrav = 0, nat = 88, ntyp = 3
/
ATOMIC_SPECIES
I 126.90 I.upf
Ba 137.33 Ba.upf
Y 88.91 Y.upf
ATOMIC_POSITIONS crystal
I 0.625 0.025 0.943
I 0.780 0.925 0.802
I 0.866 0.930 0.391
I 0.118 0.592 0.996
I 0.134 0.070 0.609
I 0.616 0.286 0.475
I 0.466 0.945 0.794
I 0.720 0.425 0.302
I 0.368 0.407 0.997
I 0.467 0.821 0.681
I 0.626 0.236 0.753
I 0.116 0.214 0.025
I 0.868 0.702 0.530
I 0.366 0.570 0.109
I 0.280 0.575 0.698
I 0.119 0.439 0.873
I 0.881 0.561 0.127
I 0.966 0.555 0.706
I 0.374 0.192 0.886
I 0.876 0.974 0.063
I 0.375 0.317 0.616
I 0.789 0.837 0.671
I 0.967 0.679 0.819
I 0.874 0.308 0.614
I 0.375 0.975 0.057
I 0.132 0.298 0.470
I 0.632 0.202 0.030
I 0.868 0.093 0.503
I 0.626 0.808 0.114
I 0.882 0.408 0.004
I 0.126 0.692 0.386
I 0.381 0.939 0.373
I 0.126 0.264 0.747
I 0.368 0.798 0.970
I 0.625 0.683 0.384
I 0.034 0.445 0.294
I 0.619 0.061 0.627
I 0.534 0.055 0.206
I 0.033 0.321 0.181
I 0.125 0.475 0.557
I 0.382 0.092 0.496
I 0.634 0.430 0.891
I 0.618 0.908 0.504
I 0.289 0.663 0.829
I 0.132 0.907 0.497
I 0.211 0.163 0.329
I 0.374 0.764 0.247
I 0.533 0.179 0.319
I 0.384 0.714 0.525
I 0.884 0.786 0.975
I 0.376 0.526 0.437
I 0.875 0.525 0.443
I 0.125 0.817 0.116
I 0.632 0.593 0.003
I 0.124 0.026 0.937
I 0.220 0.075 0.198
I 0.874 0.736 0.253
I 0.875 0.183 0.884
I 0.624 0.474 0.563
I 0.711 0.337 0.171
Ba 0.124 0.108 0.467
Ba 0.378 0.739 0.382
Ba 0.875 0.605 0.951
Ba 0.376 0.608 0.967
Ba 0.625 0.105 0.451
Ba 0.122 0.239 0.882
Ba 0.624 0.392 0.033
Ba 0.125 0.395 0.049
Ba 0.373 0.756 0.115
Ba 0.632 0.484 0.414
Ba 0.368 0.516 0.586
Ba 0.868 0.984 0.914
Ba 0.132 0.016 0.086
Ba 0.375 0.895 0.549
Ba 0.120 0.493 0.409
Ba 0.876 0.892 0.533
Ba 0.880 0.507 0.591
Ba 0.380 0.993 0.909
Ba 0.627 0.244 0.885
Ba 0.878 0.761 0.118
Ba 0.620 0.007 0.091
Ba 0.127 0.256 0.615
Ba 0.622 0.261 0.618
Ba 0.873 0.744 0.385
Y 0.374 0.085 0.283
Y 0.626 0.915 0.717
Y 0.874 0.415 0.217
Y 0.126 0.585 0.783
CELL_PARAMETERS angstrom
-11.517 -4.994 -4.412
7.640 -16.076 -1.747
-3.351 -11.604 21.879
```

BaYI5: relaxed, PBE-GGA. Values from VASP.

Results
Its space-group type is P2_12_12_1. The calculation puts the total energy at -3.78 eV per atom. Its calculated formation energy is -1766 meV/atom.

Quantum ESPRESSO input file:
```
&SYSTEM
  ibrav = 0, nat = 28, ntyp = 3
/
ATOMIC_SPECIES
I 126.90 I.upf
Y 88.91 Y.upf
Ba 137.33 Ba.upf
ATOMIC_POSITIONS crystal
I 0.481 0.858 0.506
I 0.542 0.394 0.523
I 0.357 0.088 0.185
I 0.042 0.106 0.477
I 0.844 0.885 0.840
I 0.099 0.405 0.307
I 0.981 0.642 0.494
I 0.401 0.595 0.807
I 0.519 0.358 0.994
I 0.019 0.142 0.006
I 0.901 0.905 0.193
I 0.958 0.606 0.023
I 0.156 0.385 0.660
I 0.143 0.912 0.685
I 0.458 0.894 0.977
I 0.599 0.095 0.693
I 0.857 0.412 0.815
I 0.656 0.115 0.340
I 0.344 0.615 0.160
I 0.643 0.588 0.315
Y 0.672 0.627 0.915
Y 0.172 0.873 0.085
Y 0.828 0.373 0.415
Y 0.328 0.127 0.585
Ba 0.233 0.207 0.834
Ba 0.767 0.707 0.666
Ba 0.267 0.793 0.334
Ba 0.733 0.293 0.166
CELL_PARAMETERS angstrom
8.058 0.000 0.000
0.000 8.615 0.000
0.000 0.000 18.914
```

BaYI5: relaxed, PBE-GGA. Values from VASP.

Results
Its space-group type is P2_1/c. The calculation puts the total energy at -3.80 eV per atom. Its calculated formation energy is -1785 meV/atom.

Quantum ESPRESSO input file:
```
&SYSTEM
  ibrav = 0, nat = 56, ntyp = 3
/
ATOMIC_SPECIES
I 126.90 I.upf
Ba 137.33 Ba.upf
Y 88.91 Y.upf
ATOMIC_POSITIONS crystal
I 0.957 0.271 0.534
I 0.050 0.371 0.830
I 0.632 0.098 0.818
I 0.899 0.717 0.643
I 0.101 0.283 0.357
I 0.475 0.889 0.708
I 0.601 0.717 0.143
I 0.269 0.420 0.126
I 0.975 0.111 0.792
I 0.025 0.889 0.208
I 0.368 0.902 0.182
I 0.814 0.933 0.738
I 0.410 0.736 0.454
I 0.590 0.264 0.546
I 0.450 0.371 0.330
I 0.186 0.067 0.262
I 0.769 0.580 0.374
I 0.231 0.420 0.626
I 0.910 0.264 0.046
I 0.550 0.629 0.670
I 0.525 0.111 0.292
I 0.314 0.067 0.762
I 0.868 0.098 0.318
I 0.457 0.729 0.966
I 0.399 0.283 0.857
I 0.182 0.991 0.992
I 0.132 0.902 0.682
I 0.682 0.009 0.508
I 0.780 0.445 0.639
I 0.818 0.009 0.008
I 0.220 0.555 0.361
I 0.318 0.991 0.492
I 0.543 0.271 0.034
I 0.090 0.736 0.954
I 0.731 0.580 0.874
I 0.950 0.629 0.170
I 0.720 0.445 0.139
I 0.043 0.729 0.466
I 0.280 0.555 0.861
I 0.686 0.933 0.238
Ba 0.283 0.668 0.139
Ba 0.766 0.799 0.961
Ba 0.734 0.799 0.461
Ba 0.234 0.201 0.039
Ba 0.717 0.332 0.861
Ba 0.266 0.201 0.539
Ba 0.217 0.668 0.639
Ba 0.783 0.332 0.361
Y 0.778 0.209 0.664
Y 0.278 0.791 0.836
Y 0.192 0.212 0.807
Y 0.808 0.788 0.193
Y 0.222 0.791 0.336
Y 0.722 0.209 0.164
Y 0.308 0.212 0.307
Y 0.692 0.788 0.693
CELL_PARAMETERS angstrom
11.742 0.000 0.000
0.000 13.921 0.000
0.000 12.715 15.834
```

Ba2YI7: relaxed, PBE-GGA. Values from VASP.

Results
Its space-group type is P2_1/c. The calculation puts the total energy at -3.69 eV per atom. Its calculated formation energy is -1857 meV/atom.

Quantum ESPRESSO input file:
```
&SYSTEM
  ibrav = 0, nat = 40, ntyp = 3
/
ATOMIC_SPECIES
I 126.90 I.upf
Ba 137.33 Ba.upf
Y 88.91 Y.upf
ATOMIC_POSITIONS crystal
I 0.933 0.931 0.881
I 0.485 0.551 0.238
I 0.604 0.585 0.975
I 0.311 0.207 0.316
I 0.384 0.967 0.979
I 0.210 0.806 0.743
I 0.290 0.806 0.243
I 0.811 0.793 0.184
I 0.801 0.404 0.941
I 0.515 0.449 0.762
I 0.616 0.033 0.021
I 0.985 0.449 0.262
I 0.896 0.585 0.475
I 0.015 0.551 0.738
I 0.396 0.415 0.025
I 0.189 0.207 0.816
I 0.116 0.967 0.479
I 0.104 0.415 0.525
I 0.884 0.033 0.521
I 0.199 0.596 0.059
I 0.433 0.069 0.619
I 0.710 0.194 0.757
I 0.567 0.931 0.381
I 0.699 0.404 0.441
I 0.301 0.596 0.559
I 0.067 0.069 0.119
I 0.790 0.194 0.257
I 0.689 0.793 0.684
Ba 0.230 0.211 0.032
Ba 0.474 0.991 0.187
Ba 0.270 0.211 0.532
Ba 0.526 0.009 0.813
Ba 0.730 0.789 0.468
Ba 0.026 0.991 0.687
Ba 0.974 0.009 0.313
Ba 0.770 0.789 0.968
Y 0.659 0.418 0.851
Y 0.341 0.582 0.149
Y 0.841 0.418 0.351
Y 0.159 0.582 0.649
CELL_PARAMETERS angstrom
-12.196 14.224 -1.913
-2.671 -3.265 -7.248
-11.875 -10.163 0.144
```

| no. | energy above the most stable polymorph in this dataset (kcal/mol of atoms) |
| --- | --- |
| 1 | 0.868 |
| 2 | 0.669 |
| 3 | 0.234 |
| 4 | 0.687 |